Entry 1:
Below is a geometry-optimized Cd5Ni structure, with properties calculated at the PBE-GGA level.

```
Cd5Ni
1.0
6.9822 -7.1498 0.0000
6.9822 7.1498 0.0000
0.0000 0.0000 10.0119
Cd Ni
40 8
direct
0.8627 0.4966 0.4991
0.5034 0.1373 0.4991
0.5000 0.5000 0.8602
0.1373 0.5034 0.4991
0.4966 0.8627 0.4991
0.5000 0.5000 0.1397
0.3024 0.6976 0.0070
0.0543 0.7251 0.2511
0.2749 0.9457 0.2511
0.6976 0.3024 0.0070
0.9457 0.2749 0.2511
0.7251 0.0543 0.2511
0.7985 0.7985 0.9493
0.0053 0.7482 0.7396
0.7482 0.0053 0.7396
0.2015 0.2015 0.9493
0.9947 0.2518 0.7396
0.2518 0.9947 0.7396
0.6435 0.3565 0.6527
0.3565 0.6435 0.6527
0.3458 0.3458 0.3597
0.6542 0.6542 0.3597
0.8296 0.1704 0.5096
0.4902 0.1619 0.8305
0.8381 0.5098 0.8305
0.1704 0.8296 0.5096
0.5098 0.8381 0.8305
0.1619 0.4902 0.8305
0.1340 0.1340 0.4587
0.4566 0.1692 0.1497
0.1692 0.4566 0.1497
0.8660 0.8660 0.4587
0.5434 0.8308 0.1497
0.8308 0.5434 0.1497
0.3439 0.6561 0.3334
0.6561 0.3439 0.3334
0.6776 0.6776 0.6560
0.3224 0.3224 0.6560
0.9001 0.0999 0.9977
0.0999 0.9001 0.9977
0.1854 0.1854 0.2045
0.8146 0.8146 0.2045
0.3609 0.9764 0.9924
0.0236 0.6391 0.9924
0.0000 0.0000 0.2460
0.6391 0.0236 0.9924
0.9764 0.3609 0.9924
0.0000 0.0000 0.6471
```

crystal system = orthorhombic
calculated total energy = -1.6861 eV per atom
E_form = 0.046 eV per atom
space group = Cmm2 (35)

Entry 2:
Below is a geometry-optimized P3W structure, with properties calculated at the PBE-GGA level.

```
P3W
1.0
2.4848 -1.6928 3.0625
0.0419 1.7279 3.9283
-1.7811 -2.1044 3.2891
P W
3 1
direct
0.7500 0.7500 0.7500
0.2500 0.2500 0.2500
0.5000 0.5000 0.5000
0.0000 0.0000 0.0000
```

crystal system = cubic
calculated total energy = -6.8069 eV per atom
E_form = 0.493 eV per atom
space group = Fm-3m (225)

Entry 3:
Below is a geometry-optimized LiCuPO4 structure, with properties calculated at the PBE-GGA level.

```
LiCuPO4
1.0
5.2735 -9.1340 0.0000
5.2735 9.1340 0.0000
0.0000 0.0000 12.3557
Li Cu P O
12 12 12 48
direct
0.0000 0.5000 0.0093
0.0000 0.5000 0.6573
0.0000 0.5000 0.3333
0.0000 0.0000 0.1667
0.0000 0.0000 0.5000
0.0000 0.0000 0.8333
0.5000 0.5000 0.3427
0.5000 0.5000 0.6667
0.5000 0.5000 0.9907
0.5000 0.0000 0.3240
0.5000 0.0000 0.0000
0.5000 0.0000 0.6760
0.0000 0.7437 0.8333
0.0000 0.2563 0.8333
0.2482 0.7518 0.1667
0.2482 0.4964 0.5000
0.5036 0.7518 0.8333
0.2563 0.2563 0.1667
0.2563 0.0000 0.5000
0.7437 0.7437 0.1667
0.4964 0.2482 0.8333
0.7518 0.5036 0.5000
0.7518 0.2482 0.1667
0.7437 0.0000 0.5000
0.0000 0.7564 0.3333
0.2483 0.7517 0.6667
0.0000 0.2436 0.3333
0.2483 0.4966 0.0000
0.2436 0.2436 0.6667
0.5034 0.7517 0.3333
0.2436 0.0000 0.0000
0.4966 0.2483 0.3333
0.7564 0.7564 0.6667
0.7517 0.5034 0.0000
0.7517 0.2483 0.6667
0.7564 0.0000 0.0000
0.0723 0.8808 0.4182
0.1192 0.9277 0.9152
0.1023 0.6984 0.7277
0.1075 0.7151 0.2792
0.2849 0.8925 0.0542
0.3016 0.8977 0.6056
0.2047 0.6186 0.5925
0.1023 0.4039 0.9390
0.2047 0.5861 0.0742
0.1075 0.3924 0.3875
0.0723 0.1915 0.2485
0.3814 0.7953 0.7409
0.4139 0.7953 0.2591
0.1192 0.1915 0.7515
0.2849 0.3924 0.6125
0.3814 0.5861 0.9258
0.3016 0.4039 0.0610
0.4139 0.6186 0.4075
0.1915 0.1192 0.5818
0.1915 0.0723 0.0848
0.5961 0.8977 0.3944
0.6076 0.8925 0.9458
0.6076 0.7151 0.7208
0.4039 0.3016 0.2723
0.5961 0.6984 0.2723
0.3924 0.2849 0.7208
0.3924 0.1075 0.9458
0.4039 0.1023 0.3944
0.8085 0.9277 0.0848
0.8085 0.8808 0.5818
0.5861 0.3814 0.4075
0.6984 0.5961 0.0610
0.6186 0.4139 0.9258
0.7151 0.6076 0.6125
0.8808 0.8085 0.7515
0.5861 0.2047 0.2591
0.6186 0.2047 0.7409
0.9277 0.8085 0.2485
0.8925 0.6076 0.3875
0.7953 0.4139 0.0742
0.8977 0.5961 0.9390
0.7953 0.3814 0.5925
0.6984 0.1023 0.6056
0.7151 0.1075 0.0542
0.8925 0.2849 0.2792
0.8977 0.3016 0.7277
0.8808 0.0723 0.9152
0.9277 0.1192 0.4182
```

crystal system = hexagonal
calculated total energy = -6.1912 eV per atom
E_form = -2.125 eV per atom
energy above the most stable polymorph in this dataset = 72 meV per atom
space group = P6_422 (181)

Entry 4:
Below is a geometry-optimized LiNdHg2 structure, with properties calculated at the PBE-GGA level.

```
LiNdHg2
1.0
0.0000 3.6471 3.6471
3.6471 0.0000 3.6471
3.6471 3.6471 0.0000
Li Nd Hg
1 1 2
direct
0.5000 0.5000 0.5000
0.0000 0.0000 0.0000
0.2500 0.2500 0.2500
0.7500 0.7500 0.7500
```

crystal system = cubic
calculated total energy = -2.2782 eV per atom
E_form = -0.457 eV per atom
space group = Fm-3m (225)

Entry 5:
Below is a geometry-optimized TlIn3S5 structure, with properties calculated at the PBE-GGA level.

```
TlIn3S5
1.0
-2.5561 -3.7647 -9.4581
1.0608 -2.4959 -10.1393
3.5530 -12.0328 -3.5459
Tl In S
2 6 10
direct
0.2390 0.2390 0.1955
0.7610 0.7610 0.8045
0.3371 0.3371 0.4017
0.5472 0.5472 0.1945
0.4528 0.4528 0.8055
0.6629 0.6629 0.5983
0.0000 0.0000 0.5000
0.0000 0.0000 0.0000
0.5638 0.5638 0.8442
0.0713 0.0713 0.6136
0.7606 0.7606 0.3709
0.5884 0.5884 0.3443
0.2394 0.2394 0.6291
0.4116 0.4116 0.6557
0.9287 0.9287 0.3864
0.8854 0.8854 0.9497
0.4362 0.4362 0.1558
0.1146 0.1146 0.0503
```

crystal system = monoclinic
calculated total energy = -4.0087 eV per atom
E_form = -0.810 eV per atom
space group = C2/m (12)

Entry 6:
Below is a geometry-optimized Zr6NiTe2 structure, with properties calculated at the PBE-GGA level.

```
Zr6NiTe2
1.0
0.1489 -3.4629 -1.3400
7.2678 -0.6659 2.5283
-5.8823 -2.0244 4.5780
Zr Ni Te
6 1 2
direct
0.5000 0.7602 0.7602
0.5000 0.0000 0.2398
0.5000 0.2398 0.0000
0.0000 0.4058 0.4058
0.0000 0.0000 0.5942
0.0000 0.5942 0.0000
0.0000 0.0000 0.0000
0.5000 0.6667 0.3333
0.5000 0.3333 0.6667
```

crystal system = hexagonal
calculated total energy = -7.6226 eV per atom
E_form = -0.677 eV per atom
space group = P-62m (189)